# 1
The following is a DFT calculation (PBE-GGA) of an optimized crystal structure of NaZr2Ta2SiP5O24.

Geometry as CIF:
```
data_NaZr2Ta2SiP5O24
_space_group_name_H-M_alt 'P 1'
_space_group_IT_number 1
_cell_length_a 8.877
_cell_length_b 8.877
_cell_length_c 23.007
_cell_angle_alpha 89.96
_cell_angle_beta 89.89
_cell_angle_gamma 60.01
loop_
_space_group_symop_operation_xyz
'x,y,z'
loop_
_atom_site_label
_atom_site_type_symbol
_atom_site_fract_x
_atom_site_fract_y
_atom_site_fract_z
Na1 Na 0.000 0.000 0.000
Na2 Na 0.001 0.000 0.505
Na3 Na 0.667 0.664 0.338
Zr1 Zr 0.001 0.000 0.650
Zr2 Zr 0.334 0.333 0.816
Zr3 Zr 0.336 0.331 0.027
Zr4 Zr 0.665 0.670 0.191
Zr5 Zr 0.667 0.664 0.479
Zr6 Zr 0.999 0.001 0.855
Ta1 Ta 0.002 0.000 0.361
Ta2 Ta 0.329 0.337 0.527
Ta3 Ta 0.332 0.337 0.313
Ta4 Ta 0.667 0.667 0.691
Ta5 Ta 0.668 0.670 0.981
Ta6 Ta 0.999 0.000 0.148
Si1 Si 0.053 0.332 0.419
Si2 Si 0.332 0.616 0.419
Si3 Si 0.671 0.951 0.087
P1 P 0.003 0.716 0.254
P2 P 0.042 0.623 0.921
P3 P 0.283 0.002 0.254
P4 P 0.294 0.710 0.752
P5 P 0.334 0.042 0.921
P6 P 0.379 0.672 0.086
P7 P 0.382 0.955 0.586
P8 P 0.615 0.056 0.419
P9 P 0.624 0.336 0.921
P10 P 0.664 0.380 0.586
P11 P 0.710 0.996 0.752
P12 P 0.717 0.280 0.254
P13 P 0.949 0.379 0.086
P14 P 0.954 0.665 0.586
P15 P 0.997 0.294 0.752
O1 O 0.014 0.809 0.914
O2 O 0.026 0.180 0.699
O3 O 0.027 0.805 0.199
O4 O 0.031 0.159 0.410
O5 O 0.124 0.513 0.866
O6 O 0.128 0.356 0.077
O7 O 0.136 0.497 0.578
O8 O 0.151 0.351 0.362
O9 O 0.153 0.318 0.762
O10 O 0.154 0.541 0.975
O11 O 0.154 0.808 0.410
O12 O 0.169 0.536 0.262
O13 O 0.171 0.026 0.200
O14 O 0.173 0.300 0.477
O15 O 0.176 0.015 0.914
O16 O 0.180 0.795 0.699
O17 O 0.189 0.979 0.308
O18 O 0.197 0.842 0.096
O19 O 0.199 0.981 0.593
O20 O 0.213 0.827 0.806
O21 O 0.301 0.164 0.263
O22 O 0.304 0.156 0.974
O23 O 0.306 0.524 0.477
O24 O 0.318 0.529 0.762
O25 O 0.349 0.521 0.077
O26 O 0.357 0.498 0.361
O27 O 0.365 0.122 0.867
O28 O 0.370 0.135 0.577
O29 O 0.462 0.838 0.251
O30 O 0.464 0.843 0.532
O31 O 0.466 0.703 0.033
O32 O 0.476 0.692 0.740
O33 O 0.487 0.643 0.141
O34 O 0.496 0.863 0.640
O35 O 0.497 0.645 0.423
O36 O 0.498 0.858 0.932
O37 O 0.500 0.364 0.577
O38 O 0.505 0.142 0.364
O39 O 0.509 0.141 0.077
O40 O 0.514 0.365 0.866
O41 O 0.530 0.152 0.762
O42 O 0.534 0.166 0.474
O43 O 0.539 0.292 0.263
O44 O 0.539 0.306 0.974
O45 O 0.638 0.874 0.424
O46 O 0.640 0.495 0.640
O47 O 0.642 0.499 0.933
O48 O 0.646 0.863 0.144
O49 O 0.693 0.832 0.739
O50 O 0.694 0.463 0.532
O51 O 0.696 0.461 0.250
O52 O 0.703 0.824 0.031
O53 O 0.796 0.025 0.699
O54 O 0.798 0.037 0.410
O55 O 0.808 0.169 0.199
O56 O 0.809 0.176 0.914
O57 O 0.823 0.198 0.593
O58 O 0.827 0.960 0.806
O59 O 0.831 0.188 0.308
O60 O 0.831 0.463 0.033
O61 O 0.833 0.475 0.739
O62 O 0.843 0.693 0.250
O63 O 0.844 0.694 0.532
O64 O 0.849 0.967 0.096
O65 O 0.860 0.639 0.931
O66 O 0.863 0.503 0.423
O67 O 0.864 0.641 0.640
O68 O 0.866 0.485 0.141
O69 O 0.960 0.214 0.806
O70 O 0.969 0.194 0.096
O71 O 0.979 0.831 0.308
O72 O 0.982 0.821 0.593
```

Values from the calculation:
Energy of formation   -3.13 eV/atom
Corrected total energy (MP2020 scheme)   -909.3 eV/cell
Total DFT energy (no corrections)   -8.189 eV/atom

***

# 2
The following is a DFT calculation (PBE-GGA) of an optimized crystal structure of Cd2Cl4O5.

Geometry as CIF:
```
data_Cd2Cl4O5
_space_group_name_H-M_alt 'P 1 21/c 1'
_space_group_IT_number 14
_cell_length_a 9.986
_cell_length_b 11.659
_cell_length_c 14.423
_cell_angle_alpha 90.00
_cell_angle_beta 128.81
_cell_angle_gamma 90.00
loop_
_space_group_symop_operation_xyz
'x,y,z'
'-x,-y,-z'
'-x,y+1/2,-z+1/2'
'x,-y+1/2,z+1/2'
loop_
_atom_site_label
_atom_site_type_symbol
_atom_site_fract_x
_atom_site_fract_y
_atom_site_fract_z
Cd1 Cd 0.005 0.084 0.303
Cd2 Cd 0.041 0.673 0.955
Cl1 Cl 0.005 0.743 0.597
Cl2 Cl 0.020 0.625 0.374
Cl3 Cl 0.201 0.028 0.680
Cl4 Cl 0.241 0.563 0.938
O1 O 0.345 0.112 0.954
O2 O 0.416 0.142 0.204
O3 O 0.483 0.243 0.241
O4 O 0.488 0.146 0.993
O5 O 0.496 0.195 0.674
```

Values from the calculation:
Energy of formation   -0.43 eV/atom
Total DFT energy (no corrections)   -3.522 eV/atom

***

# 3
The following is a DFT calculation (PBE-GGA) of an optimized crystal structure of ZrSiPt.

Geometry as CIF:
```
data_ZrSiPt
_space_group_name_H-M_alt 'P n m a'
_space_group_IT_number 62
_cell_length_a 6.665
_cell_length_b 3.932
_cell_length_c 7.623
_cell_angle_alpha 90.00
_cell_angle_beta 90.00
_cell_angle_gamma 90.00
loop_
_space_group_symop_operation_xyz
'x,y,z'
'-x,-y,-z'
'-x+1/2,-y,z+1/2'
'x+1/2,y,-z+1/2'
'x+1/2,-y+1/2,-z+1/2'
'-x+1/2,y+1/2,z+1/2'
'-x,y+1/2,-z'
'x,-y+1/2,z'
loop_
_atom_site_label
_atom_site_type_symbol
_atom_site_fract_x
_atom_site_fract_y
_atom_site_fract_z
Zr1 Zr 0.025 0.250 0.178
Si1 Si 0.236 0.750 0.378
Pt1 Pt 0.146 0.250 0.564
```

Values from the calculation:
Energy of formation   -1.16 eV/atom
Total DFT energy (no corrections)   -7.839 eV/atom

***

# 4
The following is a DFT calculation (PBE-GGA) of an optimized crystal structure of K2SbF5.

Geometry as CIF:
```
data_K2SbF5
_space_group_name_H-M_alt 'P 1 21 1'
_space_group_IT_number 4
_cell_length_a 17.472
_cell_length_b 6.619
_cell_length_c 29.053
_cell_angle_alpha 90.00
_cell_angle_beta 100.91
_cell_angle_gamma 90.00
loop_
_space_group_symop_operation_xyz
'x,y,z'
'-x,y+1/2,-z'
loop_
_atom_site_label
_atom_site_type_symbol
_atom_site_fract_x
_atom_site_fract_y
_atom_site_fract_z
K1 K 0.000 0.001 0.250
K2 K 0.034 0.498 0.171
K3 K 0.056 0.000 0.102
K4 K 0.088 0.002 0.522
K5 K 0.093 0.492 0.023
K6 K 0.126 0.505 0.443
K7 K 0.147 0.003 0.376
K8 K 0.182 0.510 0.296
K9 K 0.182 0.991 0.796
K10 K 0.217 0.494 0.716
K11 K 0.238 0.996 0.647
K12 K 0.270 0.011 0.067
K13 K 0.274 0.487 0.569
K14 K 0.308 0.510 0.988
K15 K 0.329 0.009 0.921
K16 K 0.364 0.987 0.341
K17 K 0.365 0.513 0.841
K18 K 0.397 0.491 0.262
K19 K 0.421 0.992 0.192
K20 K 0.453 0.014 0.613
K21 K 0.455 0.486 0.114
K22 K 0.490 0.511 0.533
Sb1 Sb 0.030 0.994 0.679
Sb2 Sb 0.063 0.495 0.594
Sb3 Sb 0.120 0.988 0.951
Sb4 Sb 0.152 0.488 0.867
Sb5 Sb 0.211 0.000 0.225
Sb6 Sb 0.244 0.501 0.139
Sb7 Sb 0.302 0.984 0.497
Sb8 Sb 0.334 0.484 0.412
Sb9 Sb 0.393 0.004 0.770
Sb10 Sb 0.426 0.503 0.685
Sb11 Sb 0.484 0.983 0.042
F1 F 0.009 0.002 0.744
F2 F 0.017 0.223 0.436
F3 F 0.022 0.786 0.439
F4 F 0.026 0.199 0.938
F5 F 0.033 0.766 0.951
F6 F 0.054 0.728 0.328
F7 F 0.058 0.686 0.839
F8 F 0.064 0.287 0.328
F9 F 0.080 0.258 0.832
F10 F 0.083 0.501 0.529
F11 F 0.100 0.028 0.016
F12 F 0.104 0.761 0.710
F13 F 0.119 0.194 0.710
F14 F 0.119 0.787 0.215
F15 F 0.126 0.228 0.222
F16 F 0.148 0.265 0.598
F17 F 0.156 0.703 0.603
F18 F 0.157 0.290 0.109
F19 F 0.168 0.726 0.106
F20 F 0.171 0.528 0.802
F21 F 0.189 0.980 0.290
F22 F 0.200 0.778 0.988
F23 F 0.205 0.212 0.977
F24 F 0.210 0.199 0.482
F25 F 0.214 0.770 0.499
F26 F 0.237 0.723 0.878
F27 F 0.239 0.687 0.388
F28 F 0.246 0.285 0.869
F29 F 0.262 0.261 0.375
F30 F 0.266 0.481 0.074
F31 F 0.283 0.042 0.561
F32 F 0.291 0.771 0.255
F33 F 0.295 0.206 0.260
F34 F 0.302 0.784 0.759
F35 F 0.305 0.224 0.767
F36 F 0.331 0.271 0.148
F37 F 0.336 0.710 0.145
F38 F 0.339 0.288 0.656
F39 F 0.348 0.723 0.651
F40 F 0.353 0.542 0.348
F41 F 0.371 0.971 0.835
F42 F 0.378 0.771 0.535
F43 F 0.392 0.199 0.521
F44 F 0.394 0.205 0.027
F45 F 0.394 0.776 0.044
F46 F 0.422 0.713 0.427
F47 F 0.423 0.692 0.934
F48 F 0.426 0.280 0.412
F49 F 0.443 0.265 0.920
F50 F 0.446 0.475 0.620
F51 F 0.466 0.047 0.106
F52 F 0.472 0.217 0.806
F53 F 0.477 0.782 0.798
F54 F 0.484 0.217 0.312
F55 F 0.486 0.777 0.305
```

Values from the calculation:
Energy of formation   -2.92 eV/atom
Corrected total energy (MP2020 scheme)   -864.1 eV/cell
Total DFT energy (no corrections)   -4.621 eV/atom

***

# 5
The following is a DFT calculation (PBE-GGA) of an optimized crystal structure of NdSm3.

Geometry as CIF:
```
data_NdSm3
_space_group_name_H-M_alt 'P m -3 m'
_space_group_IT_number 221
_space_group_name_Hall '-P 4 2 3'
_cell_length_a 5.157
_cell_length_b 5.157
_cell_length_c 5.157
_cell_angle_alpha 90.00
_cell_angle_beta 90.00
_cell_angle_gamma 90.00
loop_
_atom_site_label
_atom_site_type_symbol
_atom_site_fract_x
_atom_site_fract_y
_atom_site_fract_z
Nd1 Nd 0.000 0.000 0.000
Sm1 Sm 0.000 0.500 0.500
```

Values from the calculation:
Energy of formation   0.01 eV/atom
Energy relative to the lowest polymorph listed for this composition   0 meV per atom
Total DFT energy (no corrections)   -4.721 eV/atom

***

# 6
The following is a DFT calculation (PBE-GGA) of an optimized crystal structure of ZrInNi2.

Geometry as CIF:
```
data_ZrInNi2
_space_group_name_H-M_alt 'P 4/m m m'
_space_group_IT_number 123
_space_group_name_Hall '-P 4 2'
_cell_length_a 3.256
_cell_length_b 3.256
_cell_length_c 6.166
_cell_angle_alpha 90.00
_cell_angle_beta 90.00
_cell_angle_gamma 90.00
loop_
_atom_site_label
_atom_site_type_symbol
_atom_site_fract_x
_atom_site_fract_y
_atom_site_fract_z
Zr1 Zr 0.000 0.000 0.000
In1 In 0.000 0.000 0.500
Ni1 Ni 0.500 0.500 0.232
```

Values from the calculation:
Energy of formation   -0.30 eV/atom
Total DFT energy (no corrections)   -6.011 eV/atom

***

# 7
The following is a DFT calculation (PBE-GGA) of an optimized crystal structure of Ta9Fe2S6.

Geometry as CIF:
```
data_Ta9Fe2S6
_space_group_name_H-M_alt 'P -6 2 m'
_space_group_IT_number 189
_space_group_name_Hall 'P -6 -2'
_cell_length_a 10.3557
_cell_length_b 10.3557
_cell_length_c 3.3183
_cell_angle_alpha 90.00
_cell_angle_beta 90.00
_cell_angle_gamma 120.00
loop_
_atom_site_label
_atom_site_type_symbol
_atom_site_fract_x
_atom_site_fract_y
_atom_site_fract_z
Ta1 Ta 0.0000 0.4585 0.0000
Ta2 Ta 0.2009 0.7379 0.5000
Fe1 Fe 0.3333 0.6667 0.0000
S1 S 0.0000 0.2748 0.5000
S2 S 0.0000 0.7057 0.0000
```

Values from the calculation:
Energy of formation   -0.90 eV/atom
Corrected total energy (MP2020 scheme)   -163.9 eV/cell
Energy relative to the lowest polymorph listed for this composition   20 meV per atom
Total DFT energy (no corrections)   -9.461 eV/atom

***

# 8
The following is a DFT calculation (PBE-GGA) of an optimized crystal structure of HfMg14Ga.

Geometry as CIF:
```
data_HfMg14Ga
_space_group_name_H-M_alt 'P -6 m 2'
_space_group_IT_number 187
_space_group_name_Hall 'P -6 2'
_cell_length_a 6.3555
_cell_length_b 6.3555
_cell_length_c 10.1398
_cell_angle_alpha 90.00
_cell_angle_beta 90.00
_cell_angle_gamma 120.00
loop_
_atom_site_label
_atom_site_type_symbol
_atom_site_fract_x
_atom_site_fract_y
_atom_site_fract_z
Hf1 Hf 0.0000 0.0000 0.0000
Mg1 Mg 0.0051 0.5025 0.0000
Mg2 Mg 0.1621 0.3242 0.2506
Mg3 Mg 0.5009 0.0018 0.5000
Mg4 Mg 0.6667 0.3333 0.2447
Ga1 Ga 0.0000 0.0000 0.5000
```

Values from the calculation:
Energy of formation   0.02 eV/atom
Energy relative to the lowest polymorph listed for this composition   9 meV per atom
Total DFT energy (no corrections)   -2.193 eV/atom

***

# 9
The following is a DFT calculation (PBE-GGA) of an optimized crystal structure of TiFe2.

Geometry as CIF:
```
data_TiFe2
_space_group_name_H-M_alt 'P 63/m m c'
_space_group_IT_number 194
_space_group_name_Hall '-P 6c 2c'
_cell_length_a 4.7831
_cell_length_b 4.7831
_cell_length_c 7.7702
_cell_angle_alpha 90.00
_cell_angle_beta 90.00
_cell_angle_gamma 120.00
loop_
_atom_site_label
_atom_site_type_symbol
_atom_site_fract_x
_atom_site_fract_y
_atom_site_fract_z
Ti1 Ti 0.3333 0.6667 0.0624
Fe1 Fe 0.0000 0.0000 0.0000
Fe2 Fe 0.1694 0.3388 0.7500
```

Values from the calculation:
Energy of formation   -0.28 eV/atom
Total DFT energy (no corrections)   -8.562 eV/atom